1.
First-principles (PBE) data for Pa2S3 after structural relaxation, as listed in the Materials Project database.

```
data_Pa2S3
_chemical_formula_sum 'Pa4 S6'
_symmetry_space_group_name_H-M 'P 1'
_symmetry_Int_Tables_number 1
_cell_length_a 7.375
_cell_length_b 7.375
_cell_length_c 7.375
_cell_angle_alpha 55.10
_cell_angle_beta 55.10
_cell_angle_gamma 55.10
loop_
_symmetry_equiv_pos_as_xyz
'x,y,z'
loop_
_atom_site_label
_atom_site_type_symbol
_atom_site_fract_x
_atom_site_fract_y
_atom_site_fract_z
Pa1 Pa 0.844 0.844 0.844
Pa2 Pa 0.656 0.656 0.656
Pa3 Pa 0.344 0.344 0.344
Pa4 Pa 0.156 0.156 0.156
S1 S 0.940 0.250 0.560
S2 S 0.250 0.560 0.940
S3 S 0.560 0.940 0.250
S4 S 0.440 0.060 0.750
S5 S 0.750 0.440 0.060
S6 S 0.060 0.750 0.440
```

Output
- DFT formation energy (meV/atom) = -1762
- energy (eV/atom) = -7.748



2.
First-principles (PBE) data for NaAsO2 after structural relaxation, as listed in the Materials Project database.

```
data_NaAsO2
_chemical_formula_sum 'Na8 As8 O16'
_symmetry_space_group_name_H-M 'P 1'
_symmetry_Int_Tables_number 1
_cell_length_a 5.171
_cell_length_b 6.790
_cell_length_c 15.903
_cell_angle_alpha 90.00
_cell_angle_beta 90.00
_cell_angle_gamma 90.00
loop_
_symmetry_equiv_pos_as_xyz
'x,y,z'
loop_
_atom_site_label
_atom_site_type_symbol
_atom_site_fract_x
_atom_site_fract_y
_atom_site_fract_z
Na1 Na 0.243 0.098 0.950
Na2 Na 0.743 0.402 0.950
Na3 Na 0.257 0.098 0.450
Na4 Na 0.757 0.902 0.050
Na5 Na 0.757 0.402 0.450
Na6 Na 0.257 0.598 0.050
Na7 Na 0.743 0.902 0.550
Na8 Na 0.243 0.598 0.550
As1 As 0.268 0.599 0.339
As2 As 0.768 0.401 0.161
As3 As 0.232 0.099 0.661
As4 As 0.732 0.901 0.839
As5 As 0.732 0.401 0.661
As6 As 0.232 0.599 0.839
As7 As 0.768 0.901 0.339
As8 As 0.268 0.099 0.161
O1 O 0.082 0.314 0.117
O2 O 0.582 0.686 0.383
O3 O 0.418 0.814 0.883
O4 O 0.918 0.186 0.617
O5 O 0.918 0.686 0.883
O6 O 0.418 0.314 0.617
O7 O 0.582 0.186 0.117
O8 O 0.082 0.814 0.383
O9 O 0.211 0.930 0.081
O10 O 0.711 0.070 0.419
O11 O 0.289 0.430 0.919
O12 O 0.211 0.430 0.419
O13 O 0.789 0.070 0.919
O14 O 0.289 0.930 0.581
O15 O 0.711 0.570 0.081
O16 O 0.789 0.570 0.581
```

Output
- DFT formation energy (meV/atom) = -1865
- energy (eV/atom) = -5.491



3.
First-principles (PBE) data for CuClO after structural relaxation, as listed in the Materials Project database.

```
data_CuClO
_chemical_formula_sum 'Cu4 Cl4 O4'
_symmetry_space_group_name_H-M 'P 1'
_symmetry_Int_Tables_number 1
_cell_length_a 6.246
_cell_length_b 6.267
_cell_length_c 5.390
_cell_angle_alpha 90.00
_cell_angle_beta 114.13
_cell_angle_gamma 90.00
loop_
_symmetry_equiv_pos_as_xyz
'x,y,z'
loop_
_atom_site_label
_atom_site_type_symbol
_atom_site_fract_x
_atom_site_fract_y
_atom_site_fract_z
Cu1 Cu 0.969 0.383 0.218
Cu2 Cu 0.031 0.883 0.282
Cu3 Cu 0.031 0.617 0.782
Cu4 Cu 0.969 0.117 0.718
Cl1 Cl 0.686 0.079 0.857
Cl2 Cl 0.314 0.579 0.643
Cl3 Cl 0.314 0.921 0.143
Cl4 Cl 0.686 0.421 0.357
O1 O 0.109 0.148 0.458
O2 O 0.891 0.648 0.042
O3 O 0.891 0.852 0.542
O4 O 0.109 0.352 0.958
```

Output
- DFT formation energy (meV/atom) = -553
- energy (eV/atom) = -3.956



4.
First-principles (PBE) data for MgNb4I4O8 after structural relaxation, as listed in the Materials Project database.

```
data_MgNb4I4O8
_chemical_formula_sum 'Mg1 Nb4 I4 O8'
_symmetry_space_group_name_H-M 'P 1'
_symmetry_Int_Tables_number 1
_cell_length_a 3.828
_cell_length_b 4.097
_cell_length_c 21.905
_cell_angle_alpha 90.14
_cell_angle_beta 90.00
_cell_angle_gamma 90.00
loop_
_symmetry_equiv_pos_as_xyz
'x,y,z'
loop_
_atom_site_label
_atom_site_type_symbol
_atom_site_fract_x
_atom_site_fract_y
_atom_site_fract_z
Mg1 Mg 0.750 0.499 0.474
Nb1 Nb 0.250 0.556 0.936
Nb2 Nb 0.750 0.002 0.572
Nb3 Nb 0.750 0.444 0.064
Nb4 Nb 0.250 0.998 0.428
I1 I 0.250 0.004 0.673
I2 I 0.750 0.997 0.327
I3 I 0.250 0.509 0.168
I4 I 0.750 0.490 0.832
O1 O 0.250 0.498 0.433
O2 O 0.750 0.503 0.566
O3 O 0.250 0.994 0.930
O4 O 0.750 0.999 0.467
O5 O 0.250 0.002 0.532
O6 O 0.250 0.504 0.031
O7 O 0.750 0.006 0.070
O8 O 0.750 0.495 0.969
```

Output
- DFT formation energy (meV/atom) = -2171
- energy (eV/atom) = -7.006



5.
First-principles (PBE) data for Na2GaAgF6 after structural relaxation, as listed in the Materials Project database.

```
data_Na2GaAgF6
_chemical_formula_sum 'Na2 Ga1 Ag1 F6'
_symmetry_space_group_name_H-M 'P 1'
_symmetry_Int_Tables_number 1
_cell_length_a 6.050
_cell_length_b 6.050
_cell_length_c 6.050
_cell_angle_alpha 60.00
_cell_angle_beta 60.00
_cell_angle_gamma 60.00
loop_
_symmetry_equiv_pos_as_xyz
'x,y,z'
loop_
_atom_site_label
_atom_site_type_symbol
_atom_site_fract_x
_atom_site_fract_y
_atom_site_fract_z
Na1 Na 0.750 0.750 0.750
Na2 Na 0.250 0.250 0.250
Ga1 Ga 0.000 0.000 0.000
Ag1 Ag 0.500 0.500 0.500
F1 F 0.776 0.224 0.224
F2 F 0.224 0.224 0.776
F3 F 0.224 0.776 0.776
F4 F 0.224 0.776 0.224
F5 F 0.776 0.224 0.776
F6 F 0.776 0.776 0.224
```

Output
- DFT formation energy (meV/atom) = -2526
- energy (eV/atom) = -4.248



6.
First-principles (PBE) data for SrIn2Hg2 after structural relaxation, as listed in the Materials Project database.

```
data_SrIn2Hg2
_chemical_formula_sum 'Sr1 In2 Hg2'
_symmetry_space_group_name_H-M 'P 1'
_symmetry_Int_Tables_number 1
_cell_length_a 4.637
_cell_length_b 4.637
_cell_length_c 7.428
_cell_angle_alpha 108.19
_cell_angle_beta 108.19
_cell_angle_gamma 90.00
loop_
_symmetry_equiv_pos_as_xyz
'x,y,z'
loop_
_atom_site_label
_atom_site_type_symbol
_atom_site_fract_x
_atom_site_fract_y
_atom_site_fract_z
Sr1 Sr 0.000 0.000 0.000
In1 In 0.250 0.750 0.500
In2 In 0.750 0.250 0.500
Hg1 Hg 0.607 0.607 0.214
Hg2 Hg 0.393 0.393 0.786
```

Output
- DFT formation energy (meV/atom) = -322
- energy (eV/atom) = -1.882